[1]
{"formula": "Y5BiPt2", "functional": "r2SCAN", "state": "relaxed", "sg": "I4/mcm, No. 140", "e_tot_ev_per_fu": -271.3, "lattice": [[-3.904, 3.904, 6.902], [3.904, -3.904, 6.902], [3.904, 3.904, -6.902]], "species": ["Y", "Y", "Y", "Pt", "Y", "Y", "Pt", "Y", "Pt", "Bi", "Bi", "Y", "Pt", "Y", "Y", "Y"], "fractional_positions": [[0.000, 0.000, 0.000], [0.020, 0.208, 0.500], [0.792, 0.292, 0.812], [0.361, 0.139, 0.500], [0.480, 0.980, 0.188], [0.208, 0.708, 0.188], [0.639, 0.861, 0.500], [0.708, 0.520, 0.500], [0.139, 0.639, 0.779], [0.750, 0.750, 0.000], [0.250, 0.250, 0.000], [0.292, 0.480, 0.500], [0.861, 0.361, 0.221], [0.500, 0.500, 0.000], [0.520, 0.020, 0.812], [0.980, 0.792, 0.500]]}

---

[2]
{"formula": "Tb2GaNi2", "functional": "r2SCAN", "state": "relaxed", "sg": "Immm, No. 71", "e_tot_ev_per_fu": -100.7, "lattice": [[-4.184, 0.000, 0.000], [0.000, -5.316, 0.000], [2.092, 2.658, 4.105]], "species": ["Ni", "Tb", "Ni", "Tb", "Ga"], "fractional_positions": [[0.500, 0.267, 0.000], [0.201, 0.701, 0.403], [0.500, 0.733, 0.000], [0.799, 0.299, 0.597], [0.000, 0.000, 0.000]]}

---

[3]
{"formula": "NaAcHg2", "functional": "r2SCAN", "state": "relaxed", "sg": "Fm-3m, No. 225", "e_tot_ev_per_fu": -172.7, "lattice": [[0.341, -5.374, 0.935], [2.758, -1.849, 4.341], [-2.693, -2.218, 4.207]], "species": ["Hg", "Hg", "Ac", "Na"], "fractional_positions": [[0.000, 0.000, 0.000], [0.500, 0.500, 0.500], [0.250, 0.250, 0.250], [0.750, 0.750, 0.750]]}

---

Looking at energy relative to the elements for the records above, in order, we have -1.028 -0.577 -0.443 eV per atom.